Record 1
VASP calculation (PBE+U) on crystalline Sr6Y3FeCu8O22 at its relaxed geometry.

Geometry as extended XYZ:
```
40
Lattice="11.651 0.000 0.000 0.000 3.773 0.000 -3.883 0.000 11.526" Properties=species:S:1:pos:R:3 pbc="T T T"
Sr 0.001 0.000 2.080
Sr 0.041 0.000 9.543
Sr 3.924 0.000 1.986
Sr 3.844 0.000 9.540
Sr 7.727 0.000 1.984
Sr 7.767 0.000 9.447
Y -0.003 0.000 5.771
Y 3.884 0.000 5.763
Y 7.771 0.000 5.755
Fe 5.825 1.886 0.000
Cu -1.940 1.886 7.537
Cu 1.903 1.886 0.000
Cu 1.945 1.886 3.990
Cu 1.944 1.886 7.515
Cu 5.824 1.886 4.011
Cu 5.824 1.886 7.537
Cu 5.865 1.886 11.526
Cu 9.708 1.886 3.990
O 0.000 1.886 0.000
O -1.951 0.000 7.183
O -1.961 1.886 9.642
O 0.000 1.886 4.287
O -0.006 1.886 7.223
O 1.922 1.886 1.885
O 1.932 0.000 4.342
O 3.762 1.886 0.000
O 1.942 0.000 7.164
O 1.942 1.886 9.583
O 3.877 1.886 4.301
O 5.825 0.000 0.000
O 3.891 1.886 7.225
O 5.826 1.886 1.944
O 5.826 0.000 4.362
O 4.006 1.886 11.526
O 5.836 0.000 7.184
O 5.846 1.886 9.642
O 7.774 1.886 4.303
O 7.768 1.886 7.240
O 9.729 1.886 1.884
O 9.719 0.000 4.343
```

Formation energy from the elements ... -2234 meV per atom
Calculated volume ... 12.67 Å³/atom
Total energy after the MP2020 corrections ... -6.73 eV per atom



Record 2
VASP calculation (PBE+U) on crystalline Li4Ti5VO12 at its relaxed geometry.

Geometry as extended XYZ:
```
66
Lattice="8.894 0.000 0.000 4.415 7.745 0.000 0.294 0.072 10.430" Properties=species:S:1:pos:R:3 pbc="T T T"
Li 2.222 2.869 2.450
Li 6.025 7.073 2.849
Li 4.722 4.312 2.883
Li 6.860 7.401 8.018
Li 5.476 4.729 8.038
Li 4.583 1.698 7.788
Li 9.020 6.118 2.641
Li 8.127 3.087 2.392
Li 6.742 0.416 2.412
Li 8.881 3.504 7.547
Li 7.578 0.743 7.581
Li 11.381 4.948 7.980
Ti 1.607 2.581 5.304
Ti 5.379 6.529 10.429
Ti 2.473 1.367 10.422
Ti 3.961 3.918 10.426
Ti 3.166 0.079 5.141
Ti 6.116 5.222 5.287
Ti 5.146 1.278 0.086
Ti 6.655 3.872 0.000
Ti 8.457 6.538 10.344
Ti 7.487 2.594 5.142
Ti 10.437 7.737 5.288
Ti 9.641 3.898 0.004
Ti 11.130 6.449 0.007
Ti 8.224 1.287 0.000
Ti 11.996 5.235 5.125
V 0.147 0.036 5.215
V 4.604 2.619 5.195
V 8.999 5.197 5.235
O 2.495 3.125 9.334
O 1.039 0.445 9.312
O 3.977 5.590 9.269
O 3.032 3.545 4.115
O 1.716 0.959 4.131
O 4.615 5.948 4.092
O 4.582 4.462 6.278
O 3.054 1.701 6.302
O 6.166 6.863 6.281
O 3.664 2.188 1.107
O 5.167 4.721 1.056
O 6.642 7.294 1.015
O 6.886 5.661 9.306
O 3.975 0.525 9.292
O 5.448 3.083 9.329
O 7.459 6.143 4.070
O 6.155 3.555 4.109
O 4.629 0.771 4.135
O 8.973 7.045 6.294
O 7.447 4.261 6.320
O 6.144 1.674 6.359
O 8.155 4.733 1.101
O 9.627 7.291 1.137
O 6.717 2.155 1.124
O 6.961 0.523 9.415
O 8.436 3.096 9.374
O 9.939 5.629 9.322
O 7.437 0.954 4.148
O 10.549 6.115 4.128
O 9.021 3.355 4.151
O 8.988 1.868 6.337
O 11.887 6.857 6.299
O 10.571 4.271 6.315
O 9.626 2.226 1.161
O 12.563 7.371 1.118
O 11.108 4.691 1.095
```

ΔE to the lowest computed polymorph ... 0 meV per atom
Formation energy from the elements ... -3000 meV per atom
Calculated volume ... 10.89 Å³/atom
Total energy after the MP2020 corrections ... -8.25 eV per atom



Record 3
VASP calculation (PBE+U) on crystalline Cs2Fe2P3O8F7 at its relaxed geometry.

Geometry as extended XYZ:
```
44
Lattice="11.969 0.000 0.000 0.000 4.235 7.182 0.000 -4.235 7.182" Properties=species:S:1:pos:R:3 pbc="T T T"
Cs 1.885 -3.103 7.182
Cs 4.100 1.132 7.182
Cs 7.869 -1.132 7.182
Cs 10.084 3.103 7.182
Fe 0.801 2.428 9.951
Fe 5.183 -1.808 9.951
Fe 6.786 1.808 9.951
Fe 11.167 -2.428 9.951
P 0.000 0.000 5.438
P 2.025 -0.683 10.533
P 3.960 -0.683 3.351
P 5.984 0.000 12.620
P 8.009 0.683 3.351
P 9.944 0.683 10.533
O 0.307 -1.279 4.738
O 1.036 -1.589 9.814
O 1.583 0.763 10.711
O 2.551 -0.804 2.804
O 3.434 -0.804 9.985
O 4.402 0.763 3.529
O 4.949 2.647 9.814
O 5.678 -1.279 11.920
O 6.291 1.279 11.920
O 7.020 -2.647 9.814
O 7.567 -0.763 3.529
O 8.535 0.804 9.985
O 9.418 0.804 2.804
O 10.386 -0.763 10.711
O 10.933 1.589 9.814
O 11.662 1.279 4.738
F 0.000 0.000 2.284
F 1.058 2.237 8.089
F 1.173 0.212 6.466
F 2.119 -1.219 12.049
F 3.866 -1.219 4.867
F 4.811 0.212 13.647
F 4.926 -1.998 8.089
F 5.984 0.000 9.466
F 7.043 1.998 8.089
F 7.158 -0.212 13.647
F 8.103 1.219 4.867
F 9.850 1.219 12.049
F 10.796 -0.212 6.466
F 10.910 -2.237 8.089
```

Formation energy from the elements ... -2706 meV per atom
Calculated volume ... 16.55 Å³/atom
Total energy after the MP2020 corrections ... -6.70 eV per atom



Record 4
VASP calculation (PBE+U) on crystalline Li4Mn2TeWO12 at its relaxed geometry.

Geometry as extended XYZ:
```
20
Lattice="5.082 0.000 0.000 0.001 5.324 0.000 0.004 0.471 7.345" Properties=species:S:1:pos:R:3 pbc="T T T"
Li 0.000 0.000 0.000
Li 0.037 0.256 3.649
Li 2.522 3.117 7.340
Li 2.559 2.910 3.648
Mn 0.012 3.163 2.082
Mn 2.547 0.742 5.746
Te 5.085 3.410 5.754
W 2.554 0.503 2.078
O 0.666 3.414 3.929
O 0.946 4.850 1.722
O 1.011 1.856 6.325
O 1.542 4.527 6.307
O 1.598 2.197 1.725
O 1.966 0.711 3.954
O 3.139 0.480 0.253
O 3.450 2.453 5.348
O 3.552 4.262 2.559
O 4.115 1.613 2.553
O 4.174 5.113 5.349
O 4.439 3.170 0.260
```

Formation energy from the elements ... -2001 meV per atom
Calculated volume ... 9.94 Å³/atom
Total energy after the MP2020 corrections ... -7.07 eV per atom



Record 5
VASP calculation (PBE+U) on crystalline K2Fe2P2O7F2 at its relaxed geometry.

Geometry as extended XYZ:
```
60
Lattice="7.310 0.000 0.000 0.000 11.892 0.000 0.000 0.000 11.113" Properties=species:S:1:pos:R:3 pbc="T T T"
K 0.532 2.198 0.542
K 0.532 9.695 6.099
K 3.123 3.749 6.099
K 3.123 8.144 0.542
K 4.188 3.749 10.571
K 4.188 8.144 5.014
K 6.778 2.198 5.014
K 6.778 9.695 10.571
Fe 0.000 4.576 8.335
Fe 0.000 5.946 0.000
Fe 0.000 5.946 5.556
Fe 0.000 7.316 2.778
Fe 3.655 0.000 0.000
Fe 3.655 0.000 5.556
Fe 3.655 1.370 2.778
Fe 3.655 10.523 8.335
P 1.423 1.004 7.980
P 1.423 10.888 2.424
P 2.232 4.942 2.424
P 2.232 6.951 7.980
P 5.078 4.942 3.133
P 5.078 6.951 8.689
P 5.887 1.004 8.689
P 5.887 10.888 3.133
O 0.000 1.688 8.335
O 0.000 10.204 2.778
O 0.433 4.348 6.485
O 0.433 7.544 0.928
O 1.627 1.012 6.498
O 1.627 10.881 0.942
O 1.648 0.215 3.261
O 1.648 11.677 8.818
O 2.007 5.731 8.818
O 2.007 6.161 3.261
O 2.029 4.935 0.942
O 2.029 6.958 6.498
O 3.222 1.598 0.928
O 3.222 10.294 6.485
O 3.655 4.258 2.778
O 3.655 7.634 8.335
O 4.088 1.598 4.628
O 4.088 10.294 10.184
O 5.282 4.935 4.615
O 5.282 6.958 10.171
O 5.303 5.731 7.851
O 5.303 6.161 2.295
O 5.662 0.215 2.295
O 5.662 11.677 7.851
O 5.684 1.012 10.171
O 5.684 10.881 4.615
O 6.878 4.348 10.184
O 6.878 7.544 4.628
F 1.350 3.746 3.037
F 1.350 8.147 8.594
F 2.305 2.201 8.594
F 2.305 9.692 3.037
F 5.006 2.201 8.075
F 5.006 9.692 2.519
F 5.960 3.746 2.519
F 5.960 8.147 8.075
```

ΔE to the lowest computed polymorph ... 192 meV per atom
Formation energy from the elements ... -2290 meV per atom
Calculated volume ... 16.10 Å³/atom
Total energy after the MP2020 corrections ... -6.85 eV per atom



Record 6
VASP calculation (PBE+U) on crystalline RbCoC4O4 at its relaxed geometry.

Geometry as extended XYZ:
```
40
Lattice="11.272 -2.954 0.000 11.272 2.954 0.000 -8.490 0.000 11.808" Properties=species:S:1:pos:R:3 pbc="T T T"
Rb 3.392 0.266 0.722
Rb -0.853 -0.266 6.626
Rb 14.907 0.266 5.183
Rb 10.662 -0.266 11.087
Co 2.239 1.236 8.723
Co 7.570 1.236 8.989
Co 6.484 -1.236 2.819
Co 11.815 -1.236 3.085
C 1.295 0.472 4.026
C 3.235 2.023 9.932
C 6.574 2.023 7.780
C -2.950 -0.472 9.930
C 1.161 0.092 9.460
C 3.306 0.259 7.752
C 5.406 -0.092 3.556
C 7.551 -0.259 1.848
C 6.503 0.259 9.960
C 8.648 0.092 8.252
C 10.748 -0.259 4.056
C 12.893 -0.092 2.348
C 17.004 0.472 1.878
C 7.480 -2.023 4.028
C 10.819 -2.023 1.876
C 12.759 -0.472 7.782
O 5.881 2.536 6.987
O 3.927 2.536 10.725
O -2.503 0.396 10.596
O 4.686 0.722 4.018
O 1.742 -0.396 4.692
O 8.270 0.432 1.232
O 0.441 -0.722 9.922
O 4.025 -0.432 7.136
O 10.029 0.432 4.672
O 13.612 0.722 1.886
O 5.784 -0.432 10.577
O 12.312 0.396 7.116
O 9.367 -0.722 7.790
O 16.557 -0.396 1.212
O 10.126 -2.536 1.083
O 8.172 -2.536 4.821
```

Formation energy from the elements ... -980 meV per atom
Calculated volume ... 19.66 Å³/atom
Total energy after the MP2020 corrections ... -7.46 eV per atom



Record 7
VASP calculation (PBE+U) on crystalline CrHgO4 at its relaxed geometry.

Geometry as extended XYZ:
```
24
Lattice="5.605 0.000 0.000 0.000 8.856 0.000 -4.893 0.000 7.675" Properties=species:S:1:pos:R:3 pbc="T T T"
Cr -0.953 1.687 2.625
Cr -3.399 2.741 6.463
Cr 4.111 6.115 1.213
Cr 1.665 7.169 5.050
Hg -0.955 4.767 5.111
Hg 1.492 8.517 1.273
Hg -0.780 0.339 6.402
Hg 1.667 4.089 2.564
O -0.181 0.946 1.290
O -2.627 3.483 5.128
O 0.064 6.413 1.638
O -2.383 6.872 5.476
O -0.929 0.706 3.918
O 1.517 3.722 0.080
O -2.618 1.260 6.850
O -0.172 3.168 3.013
O 0.884 5.688 4.663
O 3.330 7.596 0.825
O -0.805 5.134 7.595
O 1.641 8.150 3.758
O 3.094 1.985 2.199
O 0.648 2.444 6.037
O 3.339 5.374 2.548
O 0.893 7.911 6.385
```

ΔE to the lowest computed polymorph ... 4 meV per atom
Formation energy from the elements ... -1295 meV per atom
Calculated volume ... 15.87 Å³/atom
Total energy after the MP2020 corrections ... -6.25 eV per atom



Record 8
VASP calculation (PBE+U) on crystalline KPrFe4O12 at its relaxed geometry.

Geometry as extended XYZ:
```
18
Lattice="7.726 0.000 0.000 0.000 3.855 3.843 0.000 -3.855 3.843" Properties=species:S:1:pos:R:3 pbc="T T T"
K 0.000 0.000 0.000
Pr 3.863 0.000 3.827
Fe 1.897 -1.931 5.751
Fe 1.897 1.931 5.751
Fe 5.829 -1.931 5.751
Fe 5.829 1.931 5.751
O 0.000 -1.848 1.935
O 0.000 1.848 1.935
O 1.924 0.000 5.763
O 2.014 -1.770 3.828
O 2.014 1.770 3.828
O 2.152 0.000 1.897
O 3.863 -1.795 5.730
O 3.863 1.795 5.730
O 5.574 0.000 1.897
O 5.712 -1.770 3.828
O 5.712 1.770 3.828
O 5.802 0.000 5.763
```

Formation energy from the elements ... -1394 meV per atom
Calculated volume ... 12.72 Å³/atom
Total energy after the MP2020 corrections ... -6.90 eV per atom